1.
A plane-wave DFT calculation with PBE with a Hubbard U was carried out for an optimized crystal structure of LiAlFeO3.

POSCAR file:
```
LiAlFeO3
1.0
-5.393 -1.091 -0.072
0.107 -0.116 5.956
-0.525 7.867 0.045
Li Al O Fe
4 4 12 4
Direct
0.997 0.322 0.747 Li
0.497 0.822 0.247 Li
0.503 0.178 0.753 Li
0.003 0.678 0.253 Li
0.333 0.337 0.418 Al
0.833 0.837 0.918 Al
0.667 0.663 0.582 Al
0.167 0.163 0.082 Al
0.353 0.643 0.431 O
0.853 0.143 0.931 O
0.035 0.326 0.246 O
0.680 0.682 0.070 O
0.965 0.674 0.754 O
0.320 0.318 0.930 O
0.535 0.826 0.746 O
0.820 0.818 0.430 O
0.147 0.857 0.069 O
0.647 0.357 0.569 O
0.180 0.182 0.570 O
0.465 0.174 0.254 O
0.674 0.349 0.085 Fe
0.326 0.651 0.916 Fe
0.826 0.151 0.416 Fe
0.174 0.849 0.584 Fe
```

Final energy: -0.2431 hartree per atom
Calculated formation energy: -2.51 eV per atom



2.
A plane-wave DFT calculation with PBE with a Hubbard U was carried out for an optimized crystal structure of Li2Al2FeO6.

POSCAR file:
```
Li2Al2FeO6
1.0
-3.271 -2.803 4.907
4.059 1.440 4.907
-5.051 8.725 0.010
Al O Li Fe
8 24 8 4
Direct
0.168 0.832 0.250 Al
0.340 0.660 0.000 Al
0.168 0.832 0.750 Al
0.668 0.332 0.500 Al
0.668 0.332 0.000 Al
0.340 0.660 0.500 Al
0.840 0.160 0.750 Al
0.840 0.160 0.250 Al
0.432 0.765 0.679 O
0.562 0.230 0.812 O
0.562 0.230 0.312 O
0.270 0.938 0.938 O
0.235 0.568 0.321 O
0.616 0.601 0.945 O
0.433 0.765 0.179 O
0.235 0.568 0.821 O
0.270 0.938 0.438 O
0.399 0.385 0.555 O
0.735 0.067 0.071 O
0.899 0.884 0.805 O
0.615 0.601 0.445 O
0.115 0.101 0.195 O
0.899 0.885 0.305 O
0.932 0.265 0.429 O
0.062 0.730 0.562 O
0.770 0.438 0.188 O
0.932 0.265 0.929 O
0.770 0.438 0.688 O
0.115 0.101 0.695 O
0.062 0.730 0.062 O
0.399 0.385 0.055 O
0.735 0.068 0.571 O
0.896 0.604 0.875 Li
0.750 0.750 0.125 Li
0.396 0.104 0.625 Li
0.896 0.604 0.375 Li
0.750 0.750 0.625 Li
0.396 0.104 0.125 Li
0.250 0.250 0.375 Li
0.250 0.250 0.875 Li
0.000 0.000 0.500 Fe
0.500 0.500 0.250 Fe
0.000 0.000 0.000 Fe
0.500 0.499 0.750 Fe
```

Final energy: -0.2379 hartree per atom
Calculated formation energy: -2.56 eV per atom



3.
A plane-wave DFT calculation with PBE with a Hubbard U was carried out for an optimized crystal structure of LiAl2FeO6.

POSCAR file:
```
LiAl2FeO6
1.0
-1.583 1.378 -4.451
-0.466 -4.678 1.455
-5.251 -0.133 0.857
O Al Fe Li
6 2 1 1
Direct
0.924 0.599 0.196 O
0.735 0.735 0.805 O
0.265 0.265 0.195 O
0.076 0.401 0.804 O
0.599 0.924 0.196 O
0.401 0.076 0.804 O
0.332 0.668 0.000 Al
0.668 0.332 0.000 Al
0.000 0.000 0.000 Fe
0.500 0.500 0.500 Li
```

Final energy: -0.2393 hartree per atom
Calculated formation energy: -2.39 eV per atom



4.
A plane-wave DFT calculation with PBE with a Hubbard U was carried out for an optimized crystal structure of Li2AlFeO4.

POSCAR file:
```
Li2AlFeO4
1.0
-4.077 -4.615 -8.562
4.605 -2.617 -0.782
-4.389 -9.952 7.454
Li O Al Fe
16 32 8 8
Direct
0.788 0.126 0.701 Li
0.540 0.447 0.436 Li
0.544 0.945 0.063 Li
0.788 0.626 0.800 Li
0.212 0.874 0.201 Li
0.960 0.447 0.936 Li
0.712 0.626 0.300 Li
0.956 0.945 0.563 Li
0.040 0.553 0.436 Li
0.460 0.553 0.936 Li
0.712 0.126 0.201 Li
0.288 0.374 0.800 Li
0.288 0.874 0.701 Li
0.044 0.055 0.063 Li
0.212 0.374 0.300 Li
0.456 0.055 0.563 Li
0.710 0.603 0.457 O
0.204 0.013 0.817 O
0.707 0.125 0.047 O
0.217 0.509 0.678 O
0.293 0.875 0.547 O
0.290 0.397 0.957 O
0.986 0.638 0.803 O
0.717 0.491 0.678 O
0.296 0.013 0.317 O
0.796 0.987 0.317 O
0.981 0.117 0.703 O
0.019 0.883 0.203 O
0.283 0.509 0.178 O
0.514 0.638 0.303 O
0.014 0.362 0.303 O
0.961 0.074 0.924 O
0.790 0.603 0.957 O
0.207 0.875 0.047 O
0.539 0.074 0.424 O
0.950 0.570 0.569 O
0.486 0.362 0.803 O
0.550 0.570 0.069 O
0.519 0.117 0.203 O
0.450 0.430 0.569 O
0.461 0.926 0.924 O
0.039 0.926 0.424 O
0.210 0.397 0.457 O
0.783 0.491 0.178 O
0.793 0.125 0.547 O
0.704 0.987 0.817 O
0.481 0.883 0.703 O
0.050 0.430 0.069 O
0.792 0.458 0.558 Al
0.463 0.956 0.313 Al
0.708 0.458 0.058 Al
0.292 0.542 0.558 Al
0.037 0.956 0.813 Al
0.963 0.044 0.313 Al
0.537 0.044 0.813 Al
0.208 0.542 0.058 Al
0.208 0.041 0.443 Fe
0.538 0.546 0.687 Fe
0.038 0.454 0.687 Fe
0.792 0.959 0.943 Fe
0.462 0.454 0.187 Fe
0.708 0.959 0.443 Fe
0.292 0.041 0.943 Fe
0.962 0.546 0.187 Fe
```

Final energy: -0.2318 hartree per atom
Calculated formation energy: -2.45 eV per atom



5.
A plane-wave DFT calculation with PBE with a Hubbard U was carried out for an optimized crystal structure of Li3AlFeO4.

POSCAR file:
```
Li3AlFeO4
1.0
-5.351 5.351 6.826
5.351 -5.351 6.826
5.351 5.351 -6.826
O Li Fe Al
32 24 8 8
Direct
0.885 0.609 0.407 O
0.522 0.115 0.723 O
0.267 0.848 0.743 O
0.918 0.982 0.257 O
0.598 0.355 0.081 O
0.018 0.275 0.936 O
0.832 0.268 0.243 O
0.339 0.082 0.064 O
0.645 0.726 0.243 O
0.751 0.352 0.745 O
0.732 0.975 0.564 O
0.391 0.798 0.277 O
0.228 0.135 0.777 O
0.152 0.895 0.419 O
0.756 0.001 0.899 O
0.025 0.589 0.757 O
0.994 0.249 0.601 O
0.411 0.168 0.436 O
0.483 0.402 0.757 O
0.143 0.244 0.245 O
0.548 0.772 0.907 O
0.105 0.524 0.257 O
0.725 0.661 0.743 O
0.359 0.452 0.223 O
0.274 0.517 0.919 O
0.607 0.006 0.255 O
0.102 0.857 0.101 O
0.476 0.733 0.581 O
0.999 0.898 0.755 O
0.648 0.393 0.399 O
0.865 0.641 0.093 O
0.202 0.478 0.593 O
0.708 0.840 0.150 Li
0.950 0.773 0.844 Li
0.590 0.941 0.633 Li
0.435 0.576 0.151 Li
0.042 0.410 0.350 Li
0.315 0.674 0.349 Li
0.929 0.106 0.156 Li
0.821 0.144 0.344 Li
0.442 0.292 0.133 Li
0.691 0.558 0.850 Li
0.308 0.958 0.367 Li
0.523 0.179 0.323 Li
0.715 0.565 0.140 Li
0.160 0.309 0.867 Li
0.035 0.685 0.360 Li
0.800 0.477 0.656 Li
0.424 0.575 0.860 Li
0.425 0.285 0.849 Li
0.325 0.965 0.651 Li
0.894 0.050 0.823 Li
0.326 0.675 0.640 Li
0.856 0.200 0.677 Li
0.227 0.071 0.177 Li
0.059 0.692 0.650 Li
0.927 0.452 0.001 Fe
0.548 0.550 0.475 Fe
0.675 0.177 0.975 Fe
0.075 0.073 0.525 Fe
0.823 0.798 0.499 Fe
0.450 0.925 0.999 Fe
0.202 0.700 0.025 Fe
0.300 0.325 0.501 Fe
0.638 0.803 0.802 Al
0.553 0.251 0.665 Al
0.586 0.888 0.335 Al
0.164 0.362 0.165 Al
0.749 0.414 0.302 Al
0.001 0.836 0.198 Al
0.112 0.447 0.698 Al
0.197 0.999 0.835 Al
```

Final energy: -0.2216 hartree per atom
Calculated formation energy: -2.39 eV per atom



6.
A plane-wave DFT calculation with PBE with a Hubbard U was carried out for an optimized crystal structure of Li2AlFeO4.

POSCAR file:
```
Li2AlFeO4
1.0
5.968 0.000 0.000
0.000 5.331 0.000
0.000 3.387 10.363
Li Fe O Al
8 4 16 4
Direct
0.343 0.698 0.932 Li
0.843 0.302 0.568 Li
0.162 0.936 0.692 Li
0.657 0.302 0.068 Li
0.662 0.064 0.808 Li
0.838 0.064 0.308 Li
0.338 0.936 0.192 Li
0.157 0.698 0.432 Li
0.174 0.432 0.183 Fe
0.326 0.432 0.683 Fe
0.826 0.568 0.817 Fe
0.674 0.568 0.317 Fe
0.845 0.459 0.186 O
0.677 0.916 0.179 O
0.177 0.084 0.321 O
0.823 0.916 0.679 O
0.685 0.694 0.944 O
0.345 0.541 0.314 O
0.859 0.179 0.940 O
0.185 0.306 0.556 O
0.359 0.821 0.560 O
0.315 0.306 0.056 O
0.155 0.541 0.814 O
0.655 0.459 0.686 O
0.641 0.179 0.440 O
0.141 0.821 0.060 O
0.815 0.694 0.444 O
0.323 0.084 0.821 O
0.169 0.179 0.942 Al
0.331 0.179 0.442 Al
0.831 0.821 0.058 Al
0.669 0.821 0.558 Al
```

Final energy: -0.2325 hartree per atom
Calculated formation energy: -2.48 eV per atom



Number 1: spin magnetization 0.00 μB/f.u.. Number 2: spin magnetization 0.00 μB/f.u.. Number 3: spin magnetization 3.00 μB/f.u.. Number 4: spin magnetization 5.00 μB/f.u.. Number 5: spin magnetization 4.00 μB/f.u.. Number 6: spin magnetization 5.00 μB/f.u..